Crystalline La3Br6N at its relaxed geometry, computed with PBE.

abc: 11.306 12.081 17.375
angles: 90.00 90.00 90.00
Fractional coordinates of all 80 atoms:
La 0.010 0.222 0.050
La 0.010 0.278 0.550
La 0.137 0.019 0.442
La 0.137 0.481 0.942
La 0.150 0.039 0.672
La 0.150 0.461 0.172
La 0.350 0.539 0.672
La 0.350 0.961 0.172
La 0.363 0.519 0.442
La 0.363 0.981 0.942
La 0.490 0.722 0.050
La 0.490 0.778 0.550
La 0.510 0.222 0.450
La 0.510 0.278 0.950
La 0.637 0.019 0.058
La 0.637 0.481 0.558
La 0.650 0.039 0.828
La 0.650 0.461 0.328
La 0.850 0.539 0.828
La 0.850 0.961 0.328
La 0.863 0.519 0.058
La 0.863 0.981 0.558
La 0.990 0.722 0.450
La 0.990 0.778 0.950
Br 0.034 0.684 0.123
Br 0.034 0.816 0.623
Br 0.105 0.583 0.775
Br 0.105 0.917 0.275
Br 0.132 0.564 0.339
Br 0.132 0.936 0.839
Br 0.143 0.530 0.555
Br 0.143 0.970 0.055
Br 0.163 0.217 0.189
Br 0.163 0.283 0.689
Br 0.244 0.216 0.954
Br 0.244 0.284 0.454
Br 0.256 0.716 0.954
Br 0.256 0.784 0.454
Br 0.337 0.717 0.189
Br 0.337 0.783 0.689
Br 0.357 0.030 0.555
Br 0.357 0.470 0.055
Br 0.368 0.064 0.339
Br 0.368 0.436 0.839
Br 0.395 0.083 0.775
Br 0.395 0.417 0.275
Br 0.466 0.184 0.123
Br 0.466 0.316 0.623
Br 0.534 0.684 0.377
Br 0.534 0.816 0.877
Br 0.605 0.583 0.725
Br 0.605 0.917 0.225
Br 0.632 0.564 0.161
Br 0.632 0.936 0.661
Br 0.643 0.530 0.945
Br 0.643 0.970 0.445
Br 0.663 0.217 0.311
Br 0.663 0.283 0.811
Br 0.744 0.216 0.546
Br 0.744 0.284 0.046
Br 0.756 0.716 0.546
Br 0.756 0.784 0.046
Br 0.837 0.717 0.311
Br 0.837 0.783 0.811
Br 0.857 0.030 0.945
Br 0.857 0.470 0.445
Br 0.868 0.064 0.161
Br 0.868 0.436 0.661
Br 0.895 0.083 0.725
Br 0.895 0.417 0.225
Br 0.966 0.184 0.377
Br 0.966 0.316 0.877
N 0.047 0.091 0.560
N 0.047 0.409 0.060
N 0.453 0.591 0.560
N 0.453 0.909 0.060
N 0.547 0.091 0.940
N 0.547 0.409 0.440
N 0.953 0.591 0.940
N 0.953 0.909 0.440

Output
DFT formation energy, eV per formula unit: -20.381
Crystal system: orthorhombic